1.
W5I16 after structural relaxation. Source: Materials Project, functional PBE.

Summary:
final energy	-369.15	eV per cell
calculated formation energy	-0.437	eV per atom

Structure (CIF):
```
data_W5I16
_symmetry_space_group_name_H-M 'P 1'
_symmetry_Int_Tables_number 1
_symmetry_space_group_name_Hall 'P 1'
_cell_length_a 30.270
_cell_length_b 10.823
_cell_length_c 10.759
_cell_angle_alpha 90.00
_cell_angle_beta 90.00
_cell_angle_gamma 90.00
loop_
_atom_site_label
_atom_site_fract_x
_atom_site_fract_y
_atom_site_fract_z
W1 0.066 0.100 0.176
W2 0.096 0.332 0.178
W3 0.123 0.175 0.000
W4 0.148 0.014 0.177
W5 0.179 0.243 0.181
W6 0.321 0.743 0.681
W7 0.352 0.514 0.677
W8 0.377 0.675 0.500
W9 0.404 0.832 0.678
W10 0.434 0.600 0.676
W11 0.566 0.400 0.176
W12 0.596 0.168 0.178
W13 0.623 0.325 0.000
W14 0.648 0.486 0.177
W15 0.679 0.257 0.181
W16 0.821 0.757 0.681
W17 0.852 0.986 0.677
W18 0.877 0.825 0.500
W19 0.904 0.668 0.678
W20 0.934 0.900 0.676
I1 0.018 0.010 0.677
I2 0.036 0.263 0.988
I3 0.041 0.257 0.366
I4 0.053 0.564 0.178
I5 0.062 0.558 0.681
I6 0.091 0.932 0.986
I7 0.091 0.937 0.363
I8 0.127 0.187 0.730
I9 0.145 0.678 0.683
I10 0.153 0.407 0.366
I11 0.156 0.420 0.997
I12 0.181 0.767 0.181
I13 0.205 0.080 0.365
I14 0.210 0.077 0.997
I15 0.221 0.255 0.695
I16 0.235 0.850 0.685
I17 0.265 0.350 0.185
I18 0.279 0.755 0.195
I19 0.290 0.577 0.497
I20 0.295 0.580 0.865
I21 0.319 0.267 0.681
I22 0.344 0.920 0.497
I23 0.347 0.907 0.866
I24 0.355 0.178 0.183
I25 0.373 0.687 0.230
I26 0.409 0.432 0.486
I27 0.409 0.437 0.863
I28 0.438 0.058 0.181
I29 0.447 0.064 0.678
I30 0.459 0.757 0.866
I31 0.464 0.763 0.488
I32 0.482 0.510 0.177
I33 0.518 0.490 0.677
I34 0.536 0.237 0.988
I35 0.541 0.243 0.366
I36 0.553 0.936 0.178
I37 0.562 0.942 0.681
I38 0.591 0.563 0.363
I39 0.591 0.568 0.986
I40 0.627 0.313 0.730
I41 0.645 0.822 0.683
I42 0.653 0.093 0.366
I43 0.656 0.080 0.997
I44 0.681 0.733 0.181
I45 0.705 0.420 0.365
I46 0.710 0.423 0.997
I47 0.721 0.245 0.695
I48 0.735 0.650 0.685
I49 0.765 0.150 0.185
I50 0.779 0.745 0.195
I51 0.790 0.923 0.497
I52 0.795 0.920 0.865
I53 0.819 0.233 0.681
I54 0.844 0.580 0.497
I55 0.847 0.593 0.866
I56 0.855 0.322 0.183
I57 0.873 0.813 0.230
I58 0.909 0.063 0.863
I59 0.909 0.068 0.486
I60 0.938 0.442 0.181
I61 0.947 0.436 0.678
I62 0.959 0.743 0.866
I63 0.964 0.737 0.488
I64 0.982 0.990 0.177
```

2.
CaAl2Sb2 after structural relaxation. Source: Materials Project, functional PBE.

Summary:
final energy	-19.12	eV per cell
calculated formation energy	-0.349	eV per atom

Structure (CIF):
```
data_CaAl2Sb2
_symmetry_space_group_name_H-M 'P 1'
_symmetry_Int_Tables_number 1
_symmetry_space_group_name_Hall 'P 1'
_cell_length_a 5.036
_cell_length_b 5.036
_cell_length_c 6.020
_cell_angle_alpha 90.00
_cell_angle_beta 90.00
_cell_angle_gamma 120.00
loop_
_atom_site_label
_atom_site_fract_x
_atom_site_fract_y
_atom_site_fract_z
Ca1 0.000 0.000 0.000
Al1 0.333 0.667 0.719
Al2 0.667 0.333 0.281
Sb1 0.333 0.667 0.258
Sb2 0.667 0.333 0.742
```

3.
HgCSNCl after structural relaxation. Source: Materials Project, functional PBE.

Summary:
final energy	-94.86	eV per cell
calculated formation energy	-0.196	eV per atom

Structure (CIF):
```
data_HgCSNCl
_symmetry_space_group_name_H-M 'P 1'
_symmetry_Int_Tables_number 1
_symmetry_space_group_name_Hall 'P 1'
_cell_length_a 10.919
_cell_length_b 4.412
_cell_length_c 10.262
_cell_angle_alpha 90.00
_cell_angle_beta 90.00
_cell_angle_gamma 90.00
loop_
_atom_site_label
_atom_site_fract_x
_atom_site_fract_y
_atom_site_fract_z
Hg1 0.138 0.250 0.093
Hg2 0.362 0.750 0.593
Hg3 0.638 0.250 0.407
Hg4 0.862 0.750 0.907
C1 0.155 0.750 0.382
C2 0.345 0.250 0.882
C3 0.655 0.750 0.118
C4 0.845 0.250 0.618
S1 0.145 0.750 0.544
S2 0.355 0.250 0.044
S3 0.645 0.750 0.956
S4 0.855 0.250 0.456
N1 0.154 0.750 0.267
N2 0.346 0.250 0.767
N3 0.654 0.750 0.233
N4 0.846 0.250 0.733
Cl1 0.078 0.750 0.874
Cl2 0.422 0.250 0.374
Cl3 0.578 0.750 0.626
Cl4 0.922 0.250 0.126
```

4.
Ba2Na2O3 after structural relaxation. Source: Materials Project, functional PBE.

Summary:
E above lowest polymorph	0.006	eV/atom
final energy	-68.54	eV per cell
calculated formation energy	-2.143	eV per atom

Structure (CIF):
```
data_Ba2Na2O3
_symmetry_space_group_name_H-M 'P 1'
_symmetry_Int_Tables_number 1
_symmetry_space_group_name_Hall 'P 1'
_cell_length_a 8.134
_cell_length_b 6.039
_cell_length_c 5.921
_cell_angle_alpha 90.00
_cell_angle_beta 107.42
_cell_angle_gamma 90.00
loop_
_atom_site_label
_atom_site_fract_x
_atom_site_fract_y
_atom_site_fract_z
Ba1 0.168 0.054 0.306
Ba2 0.168 0.446 0.806
Ba3 0.832 0.554 0.194
Ba4 0.832 0.946 0.694
Na1 0.438 0.651 0.320
Na2 0.438 0.849 0.820
Na3 0.562 0.151 0.180
Na4 0.562 0.349 0.680
O1 0.184 0.015 0.863
O2 0.184 0.485 0.363
O3 0.500 0.000 0.500
O4 0.500 0.500 0.000
O5 0.816 0.515 0.637
O6 0.816 0.985 0.137
```

5.
LiCuCO3 after structural relaxation. Source: Materials Project, functional PBE.

Summary:
E above lowest polymorph	0.065	eV/atom
final energy	-150.94	eV per cell
calculated formation energy	-1.619	eV per atom

Structure (CIF):
```
data_LiCuCO3
_symmetry_space_group_name_H-M 'P 1'
_symmetry_Int_Tables_number 1
_symmetry_space_group_name_Hall 'P 1'
_cell_length_a 5.265
_cell_length_b 7.925
_cell_length_c 7.277
_cell_angle_alpha 90.00
_cell_angle_beta 114.13
_cell_angle_gamma 90.00
loop_
_atom_site_label
_atom_site_fract_x
_atom_site_fract_y
_atom_site_fract_z
Li1 0.143 0.241 0.253
Li2 0.143 0.259 0.753
Li3 0.857 0.741 0.247
Li4 0.857 0.759 0.747
Cu1 0.296 0.516 0.052
Cu2 0.296 0.984 0.552
Cu3 0.704 0.016 0.448
Cu4 0.704 0.484 0.948
C1 0.248 0.640 0.675
C2 0.248 0.860 0.175
C3 0.752 0.140 0.825
C4 0.752 0.360 0.325
O1 0.092 0.742 0.059
O2 0.092 0.758 0.559
O3 0.129 0.530 0.748
O4 0.129 0.970 0.248
O5 0.486 0.136 0.778
O6 0.486 0.364 0.278
O7 0.514 0.636 0.722
O8 0.514 0.864 0.222
O9 0.871 0.030 0.752
O10 0.871 0.470 0.252
O11 0.908 0.242 0.441
O12 0.908 0.258 0.941
```

6.
MgF2 after structural relaxation. Source: Materials Project, functional PBE.

Summary:
final energy	-63.16	eV per cell
calculated formation energy	-3.761	eV per atom

Structure (CIF):
```
data_MgF2
_symmetry_space_group_name_H-M 'P 1'
_symmetry_Int_Tables_number 1
_symmetry_space_group_name_Hall 'P 1'
_cell_length_a 5.012
_cell_length_b 5.012
_cell_length_c 5.012
_cell_angle_alpha 90.00
_cell_angle_beta 90.00
_cell_angle_gamma 90.00
loop_
_atom_site_label
_atom_site_fract_x
_atom_site_fract_y
_atom_site_fract_z
Mg1 0.000 0.000 0.000
Mg2 0.000 0.500 0.500
Mg3 0.500 0.000 0.500
Mg4 0.500 0.500 0.000
F1 0.160 0.660 0.840
F2 0.160 0.840 0.340
F3 0.340 0.160 0.840
F4 0.340 0.340 0.340
F5 0.660 0.660 0.660
F6 0.660 0.840 0.160
F7 0.840 0.160 0.660
F8 0.840 0.340 0.160
```

7.
Y3Si3Pd2 after structural relaxation. Source: Materials Project, functional PBE.

Summary:
final energy	-107.52	eV per cell
calculated formation energy	-0.965	eV per atom

Structure (CIF):
```
data_Y3Si3Pd2
_symmetry_space_group_name_H-M 'P 1'
_symmetry_Int_Tables_number 1
_symmetry_space_group_name_Hall 'P 1'
_cell_length_a 5.658
_cell_length_b 5.658
_cell_length_c 14.153
_cell_angle_alpha 90.00
_cell_angle_beta 90.00
_cell_angle_gamma 135.68
loop_
_atom_site_label
_atom_site_fract_x
_atom_site_fract_y
_atom_site_fract_z
Y1 0.087 0.913 0.611
Y2 0.087 0.913 0.889
Y3 0.366 0.634 0.750
Y4 0.634 0.366 0.250
Y5 0.913 0.087 0.111
Y6 0.913 0.087 0.389
Si1 0.339 0.661 0.250
Si2 0.394 0.606 0.539
Si3 0.394 0.606 0.961
Si4 0.606 0.394 0.039
Si5 0.606 0.394 0.461
Si6 0.661 0.339 0.750
Pd1 0.205 0.795 0.095
Pd2 0.205 0.795 0.405
Pd3 0.795 0.205 0.595
Pd4 0.795 0.205 0.905
```

8.
K2RbAlF6 after structural relaxation. Source: Materials Project, functional PBE.

Summary:
final energy	-49.39	eV per cell
calculated formation energy	-3.373	eV per atom

Structure (CIF):
```
data_K2RbAlF6
_symmetry_space_group_name_H-M 'P 1'
_symmetry_Int_Tables_number 1
_symmetry_space_group_name_Hall 'P 1'
_cell_length_a 6.317
_cell_length_b 6.317
_cell_length_c 6.317
_cell_angle_alpha 60.00
_cell_angle_beta 60.00
_cell_angle_gamma 60.00
loop_
_atom_site_label
_atom_site_fract_x
_atom_site_fract_y
_atom_site_fract_z
K1 0.250 0.250 0.250
K2 0.750 0.750 0.750
Rb1 0.000 0.000 0.000
Al1 0.500 0.500 0.500
F1 0.295 0.295 0.705
F2 0.295 0.705 0.295
F3 0.295 0.705 0.705
F4 0.705 0.295 0.295
F5 0.705 0.295 0.705
F6 0.705 0.705 0.295
```